! ZnCo4O6 (PBE+U, relaxed); values from VASP
! MP2020-corrected energy   -6.4754 eV/atom
! Symmetry   Cmcm
! M_tot   0.6529 μB/atom
&SYSTEM
  ibrav = 0, nat = 22, ntyp = 3
/
ATOMIC_SPECIES
O 16.00 O.upf
Co 58.93 Co.upf
Zn 65.41 Zn.upf
ATOMIC_POSITIONS angstrom
O 1.4717 -4.4391 9.8776
Co 1.4717 0.9438 2.0669
Co 1.4717 3.5654 0.6730
O 1.4717 0.0000 7.4992
O 1.4717 -1.9370 11.2489
Co 1.4717 -0.9438 9.5661
O 1.4717 -2.7374 1.1168
Co 1.4717 -0.9438 12.9316
O 1.4717 4.4391 2.3783
Co 1.4717 -3.5654 14.3255
O 1.4717 0.0000 0.0000
Co 1.4717 3.5654 6.8262
O 1.4717 -4.4391 12.6202
O 1.4717 -2.7374 6.3824
Zn 1.4717 1.5338 11.2489
O 1.4717 4.4391 5.1209
O 1.4717 1.9370 3.7496
Co 1.4717 0.9438 5.4324
O 1.4717 2.7374 13.8817
O 1.4717 2.7374 8.6161
Zn 1.4717 -1.5338 3.7496
Co 1.4717 -3.5654 8.1722
CELL_PARAMETERS angstrom
1.4717 -4.9178 0.0000
1.4717 4.9178 0.0000
0.0000 0.0000 14.9985


! Li3MnP2H2O9 (PBE+U, relaxed); values from VASP
! MP2020-corrected energy   -6.8955 eV/atom
! Symmetry   C2/m
! M_tot   0.2353 μB/atom
&SYSTEM
  ibrav = 0, nat = 34, ntyp = 5
/
ATOMIC_SPECIES
O 16.00 O.upf
Li 6.94 Li.upf
P 30.97 P.upf
H 1.01 H.upf
Mn 54.94 Mn.upf
ATOMIC_POSITIONS angstrom
O 2.2321 4.9089 4.9830
Li 1.7599 3.7395 3.4095
O -2.2321 9.8137 1.8360
P 0.0000 12.9183 4.6229
Li 0.0000 5.6170 4.7651
H 0.0000 2.8929 5.3453
Li 1.8715 7.2436 0.0000
O 0.0000 1.7605 3.7852
O 1.2776 5.3519 0.7571
Li 0.0000 9.1056 2.0539
O 0.0000 3.6883 5.9279
O -1.2776 5.3519 0.7571
H 0.0000 11.8297 1.4737
O 0.0000 9.7238 3.8759
O 0.0000 12.9621 3.0337
Li -1.7599 3.7395 3.4095
O 1.2776 9.3707 6.0619
O -1.2776 9.3707 6.0619
Li -1.8715 7.2436 0.0000
O 2.2321 9.8137 1.8360
O 0.0000 4.9988 2.9431
O 0.0000 7.4519 5.1712
O 0.0000 14.3161 5.2951
H 0.0000 0.8763 4.4015
H 0.0000 13.8463 2.4174
O 0.0000 0.4065 1.5239
Mn 1.7599 3.6218 0.0000
O 0.0000 11.0343 0.8910
P 0.0000 8.9711 5.2111
O -2.2321 4.9089 4.9830
P 0.0000 1.8043 2.1961
P 0.0000 5.7515 1.6079
Mn -1.7599 3.6218 0.0000
O 0.0000 7.2707 1.6477
CELL_PARAMETERS angstrom
3.5197 7.2436 0.0000
-3.5197 7.2436 0.0000
0.0000 0.2354 6.8190


! V3OF11 (PBE+U, relaxed); values from VASP
! MP2020-corrected energy   -6.4178 eV/atom
! Symmetry   P1
! M_tot   0.1304 μB/atom
! Distance to the lowest polymorph of the same formula   30 meV per atom
&SYSTEM
  ibrav = 0, nat = 30, ntyp = 3
/
ATOMIC_SPECIES
F 19.00 F.upf
V 50.94 V.upf
O 16.00 O.upf
ATOMIC_POSITIONS angstrom
F 0.4581 -0.0894 1.7069
V 2.5768 0.0119 4.9278
F 3.6956 1.6184 5.1928
F 3.7385 -1.0463 10.0340
F 1.5823 -1.5416 14.1566
F 3.0822 0.1639 12.8120
F 3.6760 4.3548 0.3559
F 4.8373 2.8305 3.1148
F 4.2271 1.6296 0.3604
O 4.1839 1.5912 10.0044
F 1.5013 1.1983 9.3274
F 1.0350 1.1865 14.1527
V 5.2715 0.0004 0.0057
F 1.5532 3.9038 4.4635
F 4.8102 2.8951 12.8125
O 2.2198 -0.0263 6.5037
V 5.1361 0.2712 9.7254
F 4.1694 4.3464 5.1918
F 2.2236 2.6816 11.3867
F 2.1730 2.6479 1.7066
V 2.5816 2.8513 9.6686
F 4.8881 0.0359 7.9844
F 3.1204 0.1063 3.1641
F 0.4594 2.6680 6.5149
F 1.0898 -1.5458 9.3313
F 3.0916 2.8269 7.9723
F 0.4843 -0.0734 11.3467
F 1.0903 1.1538 4.4556
V 2.6325 2.7282 0.0035
V 5.2377 2.7500 4.8222
CELL_PARAMETERS angstrom
5.2737 0.0000 0.0000
-0.0073 5.4572 0.0000
-0.0059 -2.6429 14.5147


! V2P2O7 (PBE+U, relaxed); values from VASP
! MP2020-corrected energy   -8.3017 eV/atom
! Symmetry   P4_1
! M_tot   0.5455 μB/atom
! Distance to the lowest polymorph of the same formula   73 meV per atom
&SYSTEM
  ibrav = 0, nat = 88, ntyp = 3
/
ATOMIC_SPECIES
P 30.97 P.upf
O 16.00 O.upf
V 50.94 V.upf
ATOMIC_POSITIONS angstrom
P 4.5971 2.3536 14.7667
O 3.1710 3.4746 5.8537
O 5.5332 5.1505 1.0611
O 5.1505 0.9949 18.7771
V 1.6005 5.3554 9.2332
P 0.3273 4.6931 0.4185
O 5.1159 1.3826 23.1613
P 5.7619 1.7109 2.9078
O 4.0999 4.8835 7.6729
O 1.1395 6.0407 19.9478
O 5.9687 4.8971 9.4222
O 1.6426 0.9766 9.8267
O 2.6423 1.0970 7.4945
O 5.4311 2.6423 13.3998
P 4.8172 5.7619 8.8132
O 1.3776 5.5332 6.9664
P 1.8350 0.3273 6.3238
V 3.4861 5.4550 0.2715
O 4.8835 2.4282 1.7676
O 2.9842 1.0438 0.8664
V 0.7353 1.4371 23.5869
V 5.7666 2.6404 8.9834
V 3.8877 5.7666 14.8887
O 2.4282 1.6446 19.4835
V 5.3554 4.9276 3.3279
V 5.4550 3.0420 17.9874
O 3.3571 3.0535 17.6643
P 4.4523 4.0713 6.3394
P 2.0758 2.4568 18.1500
O 3.0847 5.1610 2.5231
P 2.3536 1.9311 8.8614
P 2.4568 4.4523 12.2447
O 2.4482 2.8350 3.3791
O 3.4746 3.3571 23.5696
O 0.6630 3.6920 15.7197
V 1.1727 1.6005 15.1385
P 4.6931 6.2008 18.1345
P 0.7662 4.8172 14.7185
O 6.2712 2.9100 11.1438
O 3.0535 3.1710 11.7590
O 1.4122 5.1455 11.3506
O 1.2261 5.8562 23.5992
O 4.0799 3.6931 15.1897
O 4.8971 0.5594 3.5169
O 3.6931 2.4482 9.2844
O 0.5594 1.6310 21.2328
O 2.8361 0.6630 21.6250
O 6.0407 5.3886 14.0425
V 5.0910 0.7353 5.8710
O 3.8858 5.4311 19.3051
V 0.7615 3.8877 20.7940
V 5.7928 5.0910 11.7763
V 4.9276 1.1727 21.0439
P 4.0713 2.0758 0.4341
O 3.4434 1.3671 14.3337
O 3.6181 6.2712 17.0491
O 3.6920 5.8651 9.8143
O 0.6719 1.2261 5.8833
O 4.8855 5.5515 21.6373
P 1.9311 4.1745 2.9561
O 0.9766 4.8855 3.9214
O 0.4874 1.1395 2.2318
O 5.8651 2.8361 3.9090
O 5.3886 0.4874 8.1371
O 5.3020 0.6719 11.7886
V 2.6404 0.7615 3.0781
O 1.0970 3.8858 1.5892
O 1.3826 1.4122 17.2560
O 1.6446 4.0999 13.5782
O 2.8350 4.0799 21.0950
O 5.5515 1.6426 15.7320
V 3.0420 1.0731 12.0821
V 1.0731 3.4861 6.1768
O 0.2569 3.6181 22.9544
O 1.6310 5.9687 15.3275
V 1.4371 5.7928 17.6816
P 6.2008 1.8350 12.2291
O 1.0438 3.5439 18.5823
O 2.9100 0.2569 5.2385
O 3.5439 5.4843 12.6770
O 5.8562 5.3020 17.6939
O 1.3671 3.0847 8.4284
O 5.1610 3.4434 20.2390
P 4.1745 4.5971 20.6720
O 5.4843 2.9842 6.7717
P 1.7109 0.7662 20.6238
O 5.1455 5.1159 5.4453
O 0.9949 1.3776 12.8718
CELL_PARAMETERS angstrom
6.5281 0.0000 0.0000
0.0000 6.5281 0.0000
0.0000 0.0000 23.6212


! Y2Cr3O12 (PBE+U, relaxed); values from VASP
! MP2020-corrected energy   -8.3349 eV/atom
! Symmetry   Fddd
! Distance to the lowest polymorph of the same formula   0 meV per atom
&SYSTEM
  ibrav = 0, nat = 34, ntyp = 3
/
ATOMIC_SPECIES
O 16.00 O.upf
Y 88.91 Y.upf
Cr 52.00 Cr.upf
ATOMIC_POSITIONS angstrom
O 2.1052 4.2244 6.0086
Y 3.1347 5.1064 10.0948
O 5.1791 6.0494 19.4577
Cr 3.1347 5.1064 25.5399
O 2.5968 1.6712 13.6610
O 2.5144 3.5107 21.9733
Y 3.1347 5.1064 20.5147
Cr 1.5673 2.5532 12.7220
Cr 1.5673 2.5532 2.5828
O 3.6726 1.6712 16.9485
Cr 4.7020 7.6595 22.9571
O 2.1876 4.1488 16.2886
O 2.6576 3.4962 11.8053
O 3.6726 8.5415 13.6610
O 4.2249 9.2697 19.4577
O 2.1876 6.0639 14.3209
O 1.0295 0.8820 6.0086
O 3.7549 3.5107 8.6362
O 2.6576 6.7165 18.8042
O 3.7549 6.7020 21.9733
Cr 3.1347 5.1064 15.3048
O 4.0818 6.0639 16.2886
O 4.2249 6.0494 26.4566
O 2.1052 0.8820 9.2961
O 2.5968 8.5415 16.9485
Y 4.7020 7.6595 17.7472
O 1.0295 4.2244 9.2961
O 5.1791 9.2697 26.4566
O 4.0818 4.1488 14.3209
O 3.6118 3.4962 18.8042
O 3.6118 6.7165 11.8053
O 2.5144 6.7020 8.6362
Cr 3.1347 5.1064 5.0696
Y 4.7020 7.6595 28.1671
CELL_PARAMETERS angstrom
0.0000 5.1064 15.3048
3.1347 0.0000 15.3048
3.1347 5.1064 0.0000


! LiFeP4O12 (PBE+U, relaxed); values from VASP
! MP2020-corrected energy   -7.5837 eV/atom
! Symmetry   C2/c
! M_tot   0.2778 μB/atom
! Distance to the lowest polymorph of the same formula   45 meV per atom
&SYSTEM
  ibrav = 0, nat = 36, ntyp = 4
/
ATOMIC_SPECIES
O 16.00 O.upf
P 30.97 P.upf
Fe 55.84 Fe.upf
Li 6.94 Li.upf
ATOMIC_POSITIONS angstrom
O -0.3630 13.8254 6.3624
O -0.9426 4.8987 1.7272
O -0.7708 10.7604 4.0341
O 2.4389 16.6961 5.8373
P -0.5961 10.2670 5.4404
Fe 0.7960 15.4464 6.1702
O 2.4635 10.1819 0.3218
O -2.4635 15.3257 4.4352
O 1.0383 14.3912 1.7360
O 0.7708 15.9042 8.1475
O -1.0383 19.5350 5.8494
Fe -0.7960 10.3026 2.0567
P 0.5961 15.4820 2.7865
O -0.9426 15.7066 2.3863
P 1.2601 12.9096 1.1522
O -1.0383 11.3579 6.4909
O 2.4389 14.1967 6.5030
O 0.3630 8.6816 2.2490
O -2.4635 15.5671 7.9051
O -0.7708 9.8448 0.0794
Li 3.2920 10.3026 2.0567
O -2.4389 9.0529 2.3896
O 0.9426 10.0425 5.8406
P 0.5961 5.1232 1.3270
O 0.7708 14.9886 4.1928
P -1.2601 18.0534 5.2656
O 1.0383 6.2141 2.3775
O -0.3630 17.0675 5.9779
O 0.3630 11.9237 1.8645
O -2.4389 11.5523 1.7239
P -1.2601 12.8394 7.0747
O 2.4635 10.4233 3.7916
O 0.9426 20.8504 6.4997
Li -3.2920 15.4464 6.1702
P 1.2601 7.6956 2.9613
P -0.5961 20.6258 6.8999
CELL_PARAMETERS angstrom
3.6853 7.7307 0.0000
-3.6853 7.7307 0.0000
0.0000 10.2876 8.2269